1.
{
  "formula": "Ba2SnS4",
  "functional": "GGA-PBE",
  "state": "optimized geometry",
  "space_group": "P2_1/c (14)",
  "e_form_ev_per_fu": -11.9,
  "lattice_angstrom": [[8.6171, 0.0000, 0.0000], [0.0000, 8.6842, 0.0000], [-4.7260, 0.0000, 11.2187]],
  "species": ["Ba", "Ba", "Ba", "Ba", "Ba", "Ba", "Ba", "Ba", "Sn", "Sn", "Sn", "Sn", "S", "S", "S", "S", "S", "S", "S", "S", "S", "S", "S", "S", "S", "S", "S", "S"],
  "fractional_positions": [[0.0402, 0.1926, 0.3503], [0.0402, 0.3074, 0.8503], [0.4257, 0.1235, 0.1654], [0.4257, 0.3765, 0.6654], [0.5743, 0.6235, 0.3346], [0.5743, 0.8765, 0.8346], [0.9598, 0.6926, 0.1497], [0.9598, 0.8074, 0.6497], [0.2999, 0.6886, 0.9906], [0.2999, 0.8114, 0.4906], [0.7001, 0.1886, 0.5094], [0.7001, 0.3114, 0.0094], [0.0865, 0.6176, 0.4454], [0.0865, 0.8824, 0.9454], [0.2462, 0.0152, 0.6078], [0.2462, 0.4848, 0.1078], [0.2692, 0.6019, 0.7948], [0.2692, 0.8981, 0.2948], [0.4274, 0.1922, 0.9020], [0.4274, 0.3078, 0.4020], [0.5726, 0.6922, 0.5980], [0.5726, 0.8078, 0.0980], [0.7308, 0.1019, 0.7052], [0.7308, 0.3981, 0.2052], [0.7538, 0.5152, 0.8922], [0.7538, 0.9848, 0.3922], [0.9135, 0.1176, 0.0546], [0.9135, 0.3824, 0.5546]]
}

---

2.
{
  "formula": "Sm5Co2",
  "functional": "GGA-PBE",
  "state": "optimized geometry",
  "space_group": "C2/c (15)",
  "e_form_ev_per_fu": -0.7,
  "lattice_angstrom": [[8.2264, -3.2160, 0.0000], [8.2264, 3.2160, 0.0000], [-0.7928, 0.0000, 6.9696]],
  "species": ["Sm", "Sm", "Sm", "Sm", "Sm", "Sm", "Sm", "Sm", "Sm", "Sm", "Co", "Co", "Co", "Co"],
  "fractional_positions": [[0.0687, 0.9313, 0.7500], [0.1449, 0.2835, 0.3167], [0.2835, 0.1449, 0.8167], [0.2999, 0.5101, 0.0866], [0.4899, 0.7001, 0.4134], [0.5101, 0.2999, 0.5866], [0.7001, 0.4899, 0.9134], [0.7165, 0.8551, 0.1833], [0.8551, 0.7165, 0.6833], [0.9313, 0.0687, 0.2500], [0.0978, 0.6798, 0.4266], [0.3202, 0.9022, 0.0734], [0.6798, 0.0978, 0.9266], [0.9022, 0.3202, 0.5734]]
}